A relaxed FeRuN6F6 crystal. Source: Materials Project, functional PBE+U.

Lattice parameters (Å, degrees): 8.8684 8.8684 8.8684 90.00 90.00 90.00
With the nearest neighbours (Å) after each atom.
Sites, in units of the cell vectors:
F: 0.3046 0.3888 0.5501  1 N 1.55
F: 0.9499 0.6954 0.8888  1 N 1.55
F: 0.1954 0.8888 0.5501  1 N 1.55
F: 0.5501 0.3046 0.3888  1 N 1.55
F: 0.9499 0.8046 0.3888  1 N 1.55
F: 0.3046 0.1112 0.0501  1 N 1.55
F: 0.0501 0.3046 0.1112  1 N 1.55
F: 0.6954 0.8888 0.9499  1 N 1.55
F: 0.5501 0.1954 0.8888  1 N 1.55
F: 0.4499 0.6954 0.6112  1 N 1.55
F: 0.6112 0.4499 0.6954  1 N 1.55
F: 0.8046 0.1112 0.4499  1 N 1.55
F: 0.8888 0.9499 0.6954  1 N 1.55
F: 0.1954 0.6112 0.0501  1 N 1.55
F: 0.8046 0.3888 0.9499  1 N 1.55
F: 0.3888 0.5501 0.3046  1 N 1.55
F: 0.6112 0.0501 0.1954  1 N 1.55
F: 0.3888 0.9499 0.8046  1 N 1.55
F: 0.6954 0.6112 0.4499  1 N 1.55
F: 0.1112 0.0501 0.3046  1 N 1.55
F: 0.8888 0.5501 0.1954  1 N 1.55
F: 0.0501 0.1954 0.6112  1 N 1.55
F: 0.4499 0.8046 0.1112  1 N 1.55
F: 0.1112 0.4499 0.8046  1 N 1.55
N: 0.3867 0.0685 0.6760  1 F 1.55
N: 0.1760 0.1133 0.9315  1 F 1.55
N: 0.8240 0.8867 0.0685  1 F 1.55
N: 0.0685 0.6760 0.3867  1 F 1.55
N: 0.3240 0.6133 0.9315  1 F 1.55
N: 0.3867 0.4315 0.1760  1 F 1.55
N: 0.9315 0.1760 0.1133  1 F 1.55
N: 0.8867 0.0685 0.8240  1 F 1.55
N: 0.5685 0.8240 0.6133  1 F 1.55
N: 0.9315 0.3240 0.6133  1 F 1.55
N: 0.8867 0.4315 0.3240  1 F 1.55
N: 0.4315 0.1760 0.3867  1 F 1.55
N: 0.6760 0.3867 0.0685  1 F 1.55
N: 0.1133 0.5685 0.6760  1 F 1.55
N: 0.0685 0.8240 0.8867  1 F 1.55
N: 0.8240 0.6133 0.5685  1 F 1.55
N: 0.6760 0.1133 0.5685  1 F 1.55
N: 0.6133 0.9315 0.3240  1 F 1.55
N: 0.1133 0.9315 0.1760  1 F 1.55
N: 0.6133 0.5685 0.8240  1 F 1.55
N: 0.4315 0.3240 0.8867  1 F 1.55
N: 0.3240 0.8867 0.4315  1 F 1.55
N: 0.5685 0.6760 0.1133  1 F 1.55
N: 0.1760 0.3867 0.4315  1 F 1.55
Fe: 0.5000 0.5000 0.5000  6 F 2.04
Fe: 0.0000 0.5000 0.0000  6 F 2.04
Fe: 0.0000 0.0000 0.5000  6 F 2.04
Fe: 0.5000 0.0000 0.0000  6 F 2.04
Ru: 0.0000 0.5000 0.5000  6 N 1.95
Ru: 0.5000 0.5000 0.0000  6 N 1.95
Ru: 0.0000 0.0000 0.0000  6 N 1.95
Ru: 0.5000 0.0000 0.5000  6 N 1.95

formation enthalpy at 0 K = 8.482 eV/f.u.
space-group type = Pa-3 (205)

A relaxed Ta2FeN6F12 crystal. Source: Materials Project, functional PBE+U.

Lattice parameters (Å, degrees): 8.9620 8.9620 8.9620 60.00 60.00 60.00
With the nearest neighbours (Å) after each atom.
Sites, in units of the cell vectors:
F: 0.4013 0.4013 0.0987  1 Ta 1.92
F: 0.0987 0.0987 0.4013  1 Ta 1.92
F: 0.4013 0.0987 0.4013  1 Ta 1.92
F: 0.9013 0.5987 0.5987  1 Ta 1.92
F: 0.0987 0.4013 0.4013  1 Ta 1.92
F: 0.9013 0.9013 0.5987  1 Ta 1.92
F: 0.0987 0.4013 0.0987  1 Ta 1.92
F: 0.4013 0.0987 0.0987  1 Ta 1.92
F: 0.5987 0.9013 0.5987  1 Ta 1.92
F: 0.5987 0.9013 0.9013  1 Ta 1.92
F: 0.5987 0.5987 0.9013  1 Ta 1.92
F: 0.9013 0.5987 0.9013  1 Ta 1.92
N: 0.6588 0.3412 0.3412  1 Fe 2.01
N: 0.3412 0.6588 0.3412  1 Fe 2.01
N: 0.6588 0.3412 0.6588  1 Fe 2.01
N: 0.6588 0.6588 0.3412  1 Fe 2.01
N: 0.3412 0.6588 0.6588  1 Fe 2.01
N: 0.3412 0.3412 0.6588  1 Fe 2.01
Ta: 0.2500 0.2500 0.2500  6 F 1.92
Ta: 0.7500 0.7500 0.7500  6 F 1.92
Fe: 0.5000 0.5000 0.5000  6 N 2.01

formation enthalpy at 0 K = -16.441 eV/f.u.
space-group type = Fm-3m (225)

Repeat the second record exactly.
A relaxed Ta2FeN6F12 crystal. Source: Materials Project, functional PBE+U.

Lattice parameters (Å, degrees): 8.9620 8.9620 8.9620 60.00 60.00 60.00
With the nearest neighbours (Å) after each atom.
Sites, in units of the cell vectors:
F: 0.4013 0.4013 0.0987  1 Ta 1.92
F: 0.0987 0.0987 0.4013  1 Ta 1.92
F: 0.4013 0.0987 0.4013  1 Ta 1.92
F: 0.9013 0.5987 0.5987  1 Ta 1.92
F: 0.0987 0.4013 0.4013  1 Ta 1.92
F: 0.9013 0.9013 0.5987  1 Ta 1.92
F: 0.0987 0.4013 0.0987  1 Ta 1.92
F: 0.4013 0.0987 0.0987  1 Ta 1.92
F: 0.5987 0.9013 0.5987  1 Ta 1.92
F: 0.5987 0.9013 0.9013  1 Ta 1.92
F: 0.5987 0.5987 0.9013  1 Ta 1.92
F: 0.9013 0.5987 0.9013  1 Ta 1.92
N: 0.6588 0.3412 0.3412  1 Fe 2.01
N: 0.3412 0.6588 0.3412  1 Fe 2.01
N: 0.6588 0.3412 0.6588  1 Fe 2.01
N: 0.6588 0.6588 0.3412  1 Fe 2.01
N: 0.3412 0.6588 0.6588  1 Fe 2.01
N: 0.3412 0.3412 0.6588  1 Fe 2.01
Ta: 0.2500 0.2500 0.2500  6 F 1.92
Ta: 0.7500 0.7500 0.7500  6 F 1.92
Fe: 0.5000 0.5000 0.5000  6 N 2.01

formation enthalpy at 0 K = -16.441 eV/f.u.
space-group type = Fm-3m (225)